First-principles (GGA+U) data for an optimized crystal structure of LiTiMnO4, as listed in the Materials Project database.

Structure (POSCAR):
```
LiTiMnO4
1.0
3.087 5.096 -0.101
0.000 3.206 9.670
3.087 -5.096 0.101
Ti Mn O Li
4 4 16 4
Direct
0.000 0.000 0.500
0.250 0.750 0.250
0.500 0.500 0.000
0.750 0.250 0.750
0.250 0.750 0.750
0.250 0.250 0.750
0.750 0.750 0.250
0.750 0.250 0.250
0.837 0.368 0.100
0.374 0.860 0.126
0.900 0.868 0.163
0.126 0.640 0.374
0.109 0.125 0.391
0.163 0.632 0.900
0.337 0.868 0.600
0.100 0.132 0.837
0.626 0.140 0.874
0.600 0.632 0.337
0.874 0.360 0.626
0.891 0.875 0.609
0.663 0.132 0.400
0.391 0.375 0.109
0.609 0.625 0.891
0.400 0.368 0.663
0.688 0.938 0.812
0.312 0.062 0.188
0.812 0.562 0.688
0.188 0.438 0.312
```

As for the excess energy over the best structure of this formula in the dataset: 13 meV/atom. As for the energy relative to the elements: -262 kJ/mol of atoms. The magnetic moment is 0.00 μB per formula unit.

First-principles (GGA+U) data for an optimized crystal structure of CaMn2Be3Si3O12, as listed in the Materials Project database.

Structure (POSCAR):
```
CaMn2Be3Si3O12
1.0
7.691 0.000 0.000
0.000 8.175 0.000
0.000 8.182 14.192
O Si Be Ca Mn
48 12 12 4 8
Direct
0.738 0.592 0.978
0.031 0.108 0.814
0.864 0.298 0.955
0.737 0.956 0.479
0.032 0.625 0.887
0.366 0.708 0.851
0.241 0.388 0.865
0.759 0.612 0.135
0.241 0.383 0.694
0.867 0.913 0.647
0.237 0.044 0.021
0.866 0.292 0.649
0.238 0.408 0.522
0.968 0.375 0.113
0.468 0.625 0.387
0.762 0.269 0.309
0.636 0.298 0.455
0.747 0.951 0.797
0.259 0.383 0.194
0.762 0.592 0.478
0.134 0.708 0.351
0.763 0.956 0.979
0.741 0.617 0.806
0.259 0.388 0.365
0.633 0.913 0.147
0.470 0.773 0.051
0.634 0.292 0.149
0.741 0.612 0.635
0.531 0.892 0.686
0.030 0.773 0.551
0.262 0.731 0.191
0.969 0.892 0.186
0.364 0.702 0.545
0.530 0.227 0.949
0.262 0.408 0.022
0.469 0.108 0.314
0.970 0.227 0.449
0.253 0.049 0.203
0.738 0.269 0.809
0.136 0.702 0.045
0.238 0.731 0.691
0.247 0.049 0.703
0.532 0.375 0.613
0.133 0.087 0.353
0.759 0.617 0.306
0.367 0.087 0.853
0.753 0.951 0.297
0.263 0.044 0.521
0.726 0.847 0.734
0.272 0.532 0.407
0.728 0.468 0.593
0.774 0.847 0.234
0.228 0.532 0.907
0.225 0.814 0.577
0.274 0.153 0.266
0.772 0.468 0.093
0.226 0.153 0.766
0.725 0.186 0.923
0.275 0.814 0.077
0.775 0.186 0.423
0.838 0.818 0.579
0.664 0.528 0.409
0.338 0.182 0.921
0.162 0.182 0.421
0.836 0.528 0.909
0.662 0.818 0.079
0.836 0.156 0.764
0.664 0.156 0.264
0.336 0.844 0.736
0.164 0.472 0.091
0.164 0.844 0.236
0.336 0.472 0.591
0.000 0.502 0.248
0.500 0.502 0.748
0.000 0.498 0.752
0.500 0.498 0.252
0.039 0.167 0.072
0.036 0.168 0.591
0.539 0.833 0.428
0.464 0.168 0.091
0.536 0.832 0.909
0.964 0.832 0.409
0.461 0.167 0.572
0.961 0.833 0.928
```

The crystal system is monoclinic. As for the energy relative to the elements: -294 kJ/mol of atoms. The magnetic moment is 10.00 μB per formula unit.

First-principles (GGA+U) data for an optimized crystal structure of Li2VC2O6, as listed in the Materials Project database.

Structure (POSCAR):
```
Li2VC2O6
1.0
-0.082 -8.490 3.040
6.096 -4.717 -4.680
7.831 -4.322 4.155
O Li C V
24 8 8 4
Direct
0.341 0.278 0.576
0.162 0.951 0.598
0.437 0.352 0.699
0.837 0.050 0.209
0.226 0.845 0.827
0.291 0.666 0.345
0.167 0.212 0.237
0.049 0.838 0.402
0.365 0.428 0.013
0.848 0.224 0.602
0.224 0.153 0.885
0.847 0.776 0.115
0.707 0.333 0.802
0.667 0.293 0.198
0.155 0.774 0.173
0.950 0.163 0.791
0.776 0.152 0.398
0.722 0.659 0.424
0.572 0.635 0.987
0.788 0.833 0.763
0.334 0.709 0.655
0.270 0.348 0.307
0.652 0.730 0.693
0.648 0.563 0.301
0.781 0.711 0.999
0.683 0.317 0.500
0.822 0.825 0.426
0.321 0.679 0.000
0.289 0.219 0.001
0.375 0.625 0.500
0.175 0.178 0.574
0.626 0.374 0.000
0.165 0.761 0.306
0.239 0.835 0.694
0.265 0.328 0.191
0.835 0.238 0.733
0.672 0.735 0.809
0.740 0.669 0.281
0.331 0.260 0.719
0.762 0.165 0.267
0.973 0.027 0.500
0.030 0.970 0.000
0.466 0.467 0.284
0.533 0.534 0.716
```

As for the excess energy over the best structure of this formula in the dataset: 24 meV/atom. The crystal system is monoclinic. As for the energy relative to the elements: -203 kJ/mol of atoms. The magnetic moment is 3.00 μB per formula unit.

First-principles (GGA+U) data for an optimized crystal structure of VH7C4O8, as listed in the Materials Project database.

Structure (POSCAR):
```
VH7C4O8
1.0
-6.330 -4.096 -1.394
6.556 -3.985 -0.502
-1.623 1.017 8.072
H O V C
14 16 2 8
Direct
0.361 0.605 0.264
0.461 0.235 0.363
0.083 0.847 0.149
0.428 0.700 0.791
0.177 0.713 0.913
0.639 0.395 0.736
0.572 0.300 0.209
0.823 0.287 0.087
0.917 0.153 0.851
0.118 0.485 0.787
0.283 0.548 0.055
0.539 0.765 0.637
0.717 0.452 0.945
0.882 0.515 0.213
0.272 0.494 0.151
0.924 0.229 0.676
0.078 0.885 0.044
0.445 0.249 0.247
0.922 0.115 0.956
0.525 0.794 0.444
0.086 0.231 0.329
0.230 0.615 0.870
0.678 0.812 0.100
0.728 0.506 0.849
0.555 0.751 0.753
0.475 0.206 0.556
0.914 0.769 0.671
0.322 0.188 0.900
0.076 0.771 0.324
0.770 0.385 0.130
0.811 0.806 0.895
0.189 0.194 0.105
0.674 0.924 0.414
0.254 0.068 0.743
0.146 0.882 0.482
0.326 0.076 0.586
0.074 0.881 0.641
0.746 0.932 0.257
0.926 0.119 0.359
0.854 0.118 0.518
```

The crystal system is triclinic. As for the energy relative to the elements: -123 kJ/mol of atoms. The magnetic moment is 2.00 μB per formula unit.

First-principles (GGA+U) data for an optimized crystal structure of NaCo2H3Se2O10, as listed in the Materials Project database.

Structure (POSCAR):
```
NaCo2H3Se2O10
1.0
-4.992 -0.979 2.226
-1.726 -4.635 -8.767
1.100 -7.601 1.161
Co O H Na Se
4 20 6 2 4
Direct
0.993 0.500 0.503
0.498 0.999 0.002
0.748 0.747 0.257
0.246 0.251 0.750
0.397 0.640 0.879
0.936 0.289 0.637
0.785 0.979 0.164
0.903 0.138 0.374
0.057 0.245 0.004
0.290 0.480 0.667
0.056 0.713 0.368
0.216 0.465 0.285
0.556 0.747 0.509
0.435 0.254 0.500
0.585 0.357 0.130
0.934 0.753 0.999
0.268 0.030 0.217
0.096 0.863 0.629
0.564 0.219 0.867
0.698 0.520 0.336
0.432 0.778 0.138
0.769 0.534 0.722
0.210 0.019 0.845
0.729 0.969 0.788
0.077 0.765 0.456
0.416 0.726 0.048
0.580 0.271 0.956
0.917 0.237 0.549
0.267 0.748 0.237
0.731 0.250 0.765
0.499 0.000 0.502
0.991 0.498 0.004
0.508 0.604 0.695
0.987 0.897 0.814
0.477 0.396 0.312
0.010 0.102 0.191
```

As for the excess energy over the best structure of this formula in the dataset: 1 meV/atom. The crystal system is triclinic. As for the energy relative to the elements: -133 kJ/mol of atoms. The magnetic moment is 0.00 μB per formula unit.

First-principles (GGA+U) data for an optimized crystal structure of Li2VF6, as listed in the Materials Project database.

Structure (POSCAR):
```
Li2VF6
1.0
-1.858 5.444 0.806
0.677 -2.070 -5.385
-4.611 -1.577 0.027
F Li V
6 2 1
Direct
0.309 0.154 0.222
0.846 0.154 0.222
0.846 0.691 0.222
0.691 0.846 0.778
0.154 0.846 0.778
0.154 0.309 0.778
0.333 0.667 0.712
0.667 0.333 0.288
0.000 0.000 0.000
```

As for the excess energy over the best structure of this formula in the dataset: 76 meV/atom. The crystal system is trigonal. As for the energy relative to the elements: -297 kJ/mol of atoms. The magnetic moment is 1.00 μB per formula unit.

First-principles (GGA+U) data for an optimized crystal structure of Li5MnO4, as listed in the Materials Project database.

Structure (POSCAR):
```
Li5MnO4
1.0
-4.358 -7.295 -2.453
8.211 -4.653 -0.749
-0.673 -2.648 9.072
O Li Mn
32 40 8
Direct
0.239 0.240 0.246
0.261 0.740 0.754
0.006 0.980 0.259
0.994 0.520 0.759
0.542 0.749 0.500
0.494 0.480 0.741
0.228 0.496 0.472
0.458 0.251 0.500
0.506 0.020 0.241
0.272 0.996 0.528
0.772 0.004 0.972
0.761 0.760 0.754
0.958 0.249 0.500
0.761 0.260 0.746
0.228 0.996 0.028
0.006 0.480 0.241
0.739 0.260 0.246
0.958 0.749 0.000
0.728 0.504 0.028
0.994 0.020 0.741
0.042 0.751 0.500
0.458 0.751 0.000
0.494 0.980 0.759
0.728 0.004 0.472
0.772 0.504 0.528
0.239 0.740 0.254
0.542 0.249 0.000
0.506 0.520 0.259
0.042 0.251 0.000
0.739 0.760 0.254
0.272 0.496 0.972
0.261 0.240 0.746
0.613 0.361 0.607
0.666 0.609 0.382
0.387 0.338 0.882
0.113 0.639 0.893
0.387 0.838 0.618
0.156 0.112 0.870
0.334 0.891 0.882
0.613 0.162 0.382
0.156 0.612 0.630
0.656 0.388 0.870
0.656 0.888 0.630
0.124 0.380 0.858
0.613 0.662 0.118
0.844 0.888 0.130
0.334 0.391 0.618
0.166 0.391 0.118
0.887 0.662 0.618
0.113 0.338 0.382
0.376 0.380 0.358
0.113 0.838 0.118
0.844 0.388 0.370
0.113 0.139 0.607
0.613 0.861 0.893
0.887 0.861 0.393
0.834 0.609 0.882
0.344 0.112 0.370
0.344 0.612 0.130
0.387 0.639 0.393
0.124 0.880 0.642
0.387 0.139 0.107
0.624 0.620 0.642
0.666 0.109 0.118
0.624 0.120 0.858
0.376 0.880 0.142
0.834 0.109 0.618
0.876 0.120 0.358
0.876 0.620 0.142
0.166 0.891 0.382
0.887 0.162 0.882
0.887 0.361 0.107
0.905 0.382 0.640
0.905 0.882 0.860
0.595 0.882 0.360
0.405 0.118 0.640
0.095 0.618 0.360
0.595 0.382 0.140
0.095 0.118 0.140
0.405 0.618 0.860
```

As for the excess energy over the best structure of this formula in the dataset: 2 meV/atom. The crystal system is orthorhombic. As for the energy relative to the elements: -199 kJ/mol of atoms. The magnetic moment is 4.00 μB per formula unit.

First-principles (GGA+U) data for an optimized crystal structure of Li3Ti2MnO6, as listed in the Materials Project database.

Structure (POSCAR):
```
Li3Ti2MnO6
1.0
-0.003 -3.092 5.055
6.240 -3.001 -0.103
3.480 5.733 0.031
O Li Mn Ti
12 6 2 4
Direct
0.380 0.976 0.247
0.637 0.996 0.772
0.126 0.688 0.093
0.105 0.371 0.398
0.874 0.978 0.240
0.865 0.674 0.567
0.609 0.368 0.400
0.391 0.299 0.934
0.895 0.296 0.935
0.620 0.691 0.086
0.135 0.993 0.766
0.363 0.670 0.561
0.752 0.327 0.168
0.758 0.986 0.510
0.248 0.339 0.166
0.740 0.688 0.824
0.242 0.681 0.823
0.260 0.979 0.509
0.500 0.333 0.667
0.000 0.333 0.667
0.004 0.007 0.002
0.491 0.009 0.999
0.509 0.658 0.334
0.996 0.659 0.332
```

The crystal system is triclinic. As for the energy relative to the elements: -267 kJ/mol of atoms. The magnetic moment is 1.00 μB per formula unit.

First-principles (GGA+U) data for an optimized crystal structure of Li9Mn2Co5O16, as listed in the Materials Project database.

Structure (POSCAR):
```
Li9Mn2Co5O16
1.0
2.908 0.000 0.000
0.210 9.904 0.000
0.208 1.697 10.159
O Li Co Mn
16 9 5 2
Direct
0.992 0.119 0.304
0.492 0.111 0.054
0.004 0.892 0.176
0.981 0.386 0.437
0.508 0.889 0.946
0.019 0.614 0.563
0.496 0.121 0.575
0.513 0.616 0.309
0.991 0.610 0.055
0.487 0.384 0.691
0.008 0.881 0.696
0.504 0.879 0.425
0.996 0.108 0.824
0.520 0.609 0.825
0.009 0.390 0.945
0.480 0.391 0.175
0.507 0.771 0.611
0.003 0.245 0.134
0.514 0.761 0.130
0.986 0.244 0.625
0.997 0.755 0.866
0.000 0.000 0.500
0.493 0.229 0.389
0.486 0.239 0.870
0.014 0.756 0.375
0.501 0.006 0.729
0.499 0.994 0.271
0.500 0.500 0.500
0.009 0.501 0.747
0.991 0.499 0.253
0.500 0.500 0.000
0.000 0.000 0.000
```

As for the excess energy over the best structure of this formula in the dataset: 59 meV/atom. The crystal system is triclinic. As for the energy relative to the elements: -174 kJ/mol of atoms. The magnetic moment is 13.99 μB per formula unit.